Record 1
VASP calculation (PBE) on NaTaCl6 after structural relaxation.

a b c (Å): 7.1035 6.6946 19.8076
angles (deg): 89.34 90.00 90.00
Closest atoms and distances in Å follow each position.
Atoms (fractional coordinates):
1 Cl 0.2472 0.1168 0.4878  1 Ta 2.29
2 Cl 0.7528 0.8832 0.5122  1 Ta 2.29
3 Cl 0.8953 0.4625 0.5947  1 Ta 2.31
4 Cl 0.1812 0.3843 0.7648  1 Ta 2.49
5 Cl 0.0430 0.9678 0.8419  1 Ta 2.44
6 Cl 0.6047 0.4625 0.0947  1 Ta 2.31
7 Cl 0.1047 0.5375 0.4053  1 Ta 2.31
8 Cl 0.5041 0.9162 0.1577  1 Ta 2.43
9 Cl 0.5679 0.4057 0.4080  1 Ta 2.32
10 Cl 0.4959 0.0838 0.8423  1 Ta 2.43
11 Cl 0.0679 0.5943 0.0920  1 Ta 2.32
12 Cl 0.3188 0.3843 0.2648  1 Ta 2.49
13 Cl 0.2528 0.1168 0.9878  1 Ta 2.29
14 Cl 0.0041 0.0838 0.3423  1 Ta 2.43
15 Cl 0.8188 0.6157 0.2352  1 Ta 2.49
16 Cl 0.7472 0.8832 0.0122  1 Ta 2.29
17 Cl 0.4321 0.5943 0.5920  1 Ta 2.32
18 Cl 0.9321 0.4057 0.9080  1 Ta 2.32
19 Cl 0.5430 0.0322 0.6581  1 Ta 2.44
20 Cl 0.9570 0.0322 0.1581  1 Ta 2.44
21 Cl 0.6812 0.6157 0.7352  1 Ta 2.49
22 Cl 0.4570 0.9678 0.3419  1 Ta 2.44
23 Cl 0.9959 0.9162 0.6577  1 Ta 2.43
24 Cl 0.3953 0.5375 0.9053  1 Ta 2.31
25 Ta 0.7826 0.7434 0.1175  6 Cl 2.29-2.49
26 Ta 0.7174 0.7434 0.6175  6 Cl 2.29-2.49
27 Ta 0.2174 0.2566 0.8825  6 Cl 2.29-2.49
28 Ta 0.2826 0.2566 0.3825  6 Cl 2.29-2.49
29 Na 0.8108 0.2135 0.7475  6 Cl 2.85-3.04
30 Na 0.3108 0.7865 0.7525  6 Cl 2.85-3.04
31 Na 0.1892 0.7865 0.2525  6 Cl 2.85-3.04
32 Na 0.6892 0.2135 0.2475  6 Cl 2.85-3.04

Summary:
* crystal system: monoclinic
* V: 29.43 A^3/atom
* E (MP2020): -158.9 eV for the cell shown

Record 2
VASP calculation (PBE) on Na3TbCl6 after structural relaxation.

a b c (Å): 7.5361 7.5361 7.5361
angles (deg): 60.00 60.00 60.00
Closest atoms and distances in Å follow each position.
Atoms (fractional coordinates):
1 Cl 0.7533 0.7533 0.2467  1 Tb 2.63, 1 Na 2.70
2 Cl 0.7533 0.2467 0.2467  1 Tb 2.63, 1 Na 2.70
3 Cl 0.2467 0.2467 0.7533  1 Tb 2.63, 1 Na 2.70
4 Cl 0.7533 0.2467 0.7533  1 Tb 2.63, 1 Na 2.70
5 Cl 0.2467 0.7533 0.7533  1 Tb 2.63, 1 Na 2.70
6 Cl 0.2467 0.7533 0.2467  1 Tb 2.63, 1 Na 2.70
7 Tb 0.0000 0.0000 0.0000  6 Cl 2.63
8 Na 0.2500 0.2500 0.2500  12 Cl 3.77
9 Na 0.7500 0.7500 0.7500  12 Cl 3.77
10 Na 0.5000 0.5000 0.5000  6 Cl 2.70

Summary:
* crystal system: cubic
* V: 30.26 A^3/atom
* E (MP2020): -41.9 eV for the cell shown

Record 3
VASP calculation (PBE) on NaTbCl4 after structural relaxation.

a b c (Å): 6.7159 6.8051 7.0976
angles (deg): 89.60 92.03 101.57
Closest atoms and distances in Å follow each position.
Atoms (fractional coordinates):
1 Cl 0.9047 0.0022 0.2056  2 Tb 2.75-2.81, 1 Na 2.96
2 Cl 0.3880 0.2071 0.3656  1 Tb 2.60, 2 Na 2.80-2.84
3 Cl 0.9533 0.5034 0.2407  2 Tb 2.79, 2 Na 2.91-3.05
4 Cl 0.0467 0.4966 0.7593  2 Tb 2.79, 2 Na 2.91-3.05
5 Cl 0.6120 0.7929 0.6344  1 Tb 2.60, 2 Na 2.80-2.84
6 Cl 0.0953 0.9978 0.7944  2 Tb 2.75-2.81, 1 Na 2.96
7 Cl 0.4331 0.6856 0.1178  2 Tb 2.71-2.78
8 Cl 0.5669 0.3144 0.8822  2 Tb 2.71-2.78
9 Tb 0.7893 0.7005 0.9451  7 Cl 2.60-2.81
10 Tb 0.2107 0.2995 0.0549  7 Cl 2.60-2.81
11 Na 0.7686 0.1978 0.5354  6 Cl 2.80-3.05
12 Na 0.2314 0.8022 0.4646  6 Cl 2.80-3.05

Summary:
* crystal system: triclinic
* V: 26.47 A^3/atom
* E (MP2020): -57.1 eV for the cell shown

Record 4
VASP calculation (PBE) on Na2TiCl4 after structural relaxation.

a b c (Å): 3.7642 6.9989 12.2445
angles (deg): 90.00 90.00 90.00
Closest atoms and distances in Å follow each position.
Atoms (fractional coordinates):
1 Ti 0.5000 0.0000 0.5000  6 Cl 2.55-2.57
2 Ti 0.5000 0.5000 0.0000  6 Cl 2.55-2.57
3 Cl 0.5000 0.3767 0.8041  1 Ti 2.55, 4 Na 2.79-2.80
4 Cl 0.0000 0.7379 0.9577  2 Ti 2.57
5 Cl 0.0000 0.2379 0.5423  2 Ti 2.57
6 Cl 0.0000 0.2621 0.0423  2 Ti 2.57
7 Cl 0.5000 0.8767 0.6959  1 Ti 2.55, 4 Na 2.79-2.80
8 Cl 0.5000 0.6233 0.1959  1 Ti 2.55, 4 Na 2.79-2.80
9 Cl 0.0000 0.7621 0.4577  2 Ti 2.57
10 Cl 0.5000 0.1233 0.3041  1 Ti 2.55, 4 Na 2.79-2.80
11 Na 0.0000 0.4169 0.3180  6 Cl 2.79-3.02
12 Na 0.0000 0.9169 0.1820  6 Cl 2.79-3.02
13 Na 0.0000 0.5831 0.6820  6 Cl 2.79-3.02
14 Na 0.0000 0.0831 0.8180  6 Cl 2.79-3.02

Summary:
* crystal system: orthorhombic
* V: 23.04 A^3/atom
* E (MP2020): -63.1 eV for the cell shown

Record 5
VASP calculation (PBE) on Na3TiCl6 after structural relaxation.

a b c (Å): 6.7614 7.1228 9.9256
angles (deg): 90.00 89.86 90.00
Closest atoms and distances in Å follow each position.
Atoms (fractional coordinates):
1 Cl 0.6583 0.7879 0.5698  1 Ti 2.42
2 Cl 0.8417 0.2879 0.9302  1 Ti 2.42
3 Cl 0.2036 0.6767 0.4369  1 Ti 2.45
4 Cl 0.2964 0.1767 0.0631  1 Ti 2.45
5 Cl 0.1294 0.9506 0.7701  1 Ti 2.47
6 Cl 0.8706 0.0494 0.2299  1 Ti 2.47
7 Cl 0.6294 0.5494 0.2701  1 Ti 2.47
8 Cl 0.3706 0.4506 0.7299  1 Ti 2.47
9 Cl 0.7964 0.3233 0.5631  1 Ti 2.45
10 Cl 0.3417 0.2121 0.4302  1 Ti 2.42
11 Cl 0.7036 0.8233 0.9369  1 Ti 2.45
12 Cl 0.1583 0.7121 0.0698  1 Ti 2.42
13 Na 0.0243 0.4190 0.2561  6 Cl 2.83-3.17
14 Na 0.9757 0.5810 0.7439  6 Cl 2.83-3.17
15 Na 0.5000 0.5000 0.0000  6 Cl 2.75-2.84
16 Na 0.4757 0.9190 0.2439  6 Cl 2.83-3.17
17 Na 0.0000 0.0000 0.5000  6 Cl 2.75-2.84
18 Na 0.5243 0.0809 0.7561  6 Cl 2.83-3.17
19 Ti 0.5000 0.5000 0.5000  6 Cl 2.42-2.47
20 Ti 0.0000 0.0000 0.0000  6 Cl 2.42-2.47

Summary:
* crystal system: monoclinic
* V: 23.90 A^3/atom
* E (MP2020): -87.2 eV for the cell shown

Record 6
VASP calculation (PBE) on NaU2Cl6 after structural relaxation.

a b c (Å): 7.7288 7.7288 4.1233
angles (deg): 90.00 90.00 120.00
Closest atoms and distances in Å follow each position.
Atoms (fractional coordinates):
1 U 0.6667 0.3333 0.7553  9 Cl 2.93-3.03
2 U 0.3333 0.6667 0.2447  9 Cl 2.93-3.03
3 Cl 0.6980 0.6176 0.2527  1 Na 2.89, 3 U 2.93-3.03
4 Cl 0.9196 0.3020 0.2527  1 Na 2.89, 3 U 2.93-3.03
5 Cl 0.6176 0.9196 0.7473  1 Na 2.89, 3 U 2.93-3.03
6 Cl 0.0804 0.6980 0.7473  1 Na 2.89, 3 U 2.93-3.03
7 Cl 0.3824 0.0804 0.2527  1 Na 2.89, 3 U 2.93-3.03
8 Cl 0.3020 0.3824 0.7473  1 Na 2.89, 3 U 2.93-3.03
9 Na 0.0000 0.0000 0.5000  6 Cl 2.89

Summary:
* crystal system: trigonal
* offset from the most stable computed form: 4 meV per atom
* V: 23.70 A^3/atom
* E (MP2020): -52.6 eV for the cell shown

Record 7
VASP calculation (PBE) on NaU2Cl6 after structural relaxation.

a b c (Å): 4.1095 7.7304 15.4976
angles (deg): 60.60 90.00 90.00
Closest atoms and distances in Å follow each position.
Atoms (fractional coordinates):
1 Cl 0.4970 0.0790 0.6499  1 Na 2.86, 3 U 2.94-3.04
2 Cl 0.4970 0.2968 0.8083  3 U 2.91-3.09, 1 Na 2.92
3 Cl 0.0008 0.9169 0.3491  3 U 2.90-3.08, 1 Na 2.91
4 Cl 0.9992 0.9169 0.8491  3 U 2.90-3.08, 1 Na 2.91
5 Cl 0.9968 0.3805 0.9587  1 Na 2.89, 3 U 2.95-3.06
6 Cl 0.5025 0.6173 0.0378  1 Na 2.90, 3 U 2.94-2.99
7 Cl 0.5030 0.0790 0.1499  1 Na 2.86, 3 U 2.94-3.04
8 Cl 0.0032 0.3805 0.4587  1 Na 2.89, 3 U 2.95-3.06
9 Cl 0.9978 0.6939 0.6905  1 Na 2.90, 3 U 2.95-2.98
10 Cl 0.4975 0.6173 0.5378  1 Na 2.90, 3 U 2.94-2.99
11 Cl 0.0022 0.6939 0.1905  1 Na 2.90, 3 U 2.95-2.98
12 Cl 0.5030 0.2968 0.3083  3 U 2.91-3.09, 1 Na 2.92
13 U 0.5014 0.6694 0.3331  9 Cl 2.90-3.09
14 U 0.4986 0.6694 0.8331  9 Cl 2.90-3.09
15 U 0.0061 0.3346 0.1665  9 Cl 2.91-3.08
16 U 0.9939 0.3346 0.6665  9 Cl 2.91-3.08
17 Na 0.7492 0.9985 0.5011  6 Cl 2.86-2.92
18 Na 0.2508 0.9985 0.0011  6 Cl 2.86-2.92

Summary:
* crystal system: monoclinic
* offset from the most stable computed form: 0 meV per atom
* V: 23.83 A^3/atom
* E (MP2020): -105.2 eV for the cell shown

Record 8
VASP calculation (PBE) on Na2UCl6 after structural relaxation.

a b c (Å): 12.1162 12.1162 6.2661
angles (deg): 90.00 90.00 120.00
Closest atoms and distances in Å follow each position.
Atoms (fractional coordinates):
1 Cl 0.7702 0.5404 0.2672  1 U 2.64, 2 Na 2.94
2 Cl 0.4363 0.8726 0.2497  1 U 2.65, 2 Na 2.83
3 Cl 0.7892 0.8946 0.2274  1 U 2.63, 2 Na 2.84
4 Cl 0.7702 0.2298 0.2672  1 U 2.64, 2 Na 2.94
5 Cl 0.8946 0.1054 0.7726  1 U 2.63, 2 Na 2.84
6 Cl 0.1054 0.8946 0.2274  1 U 2.63, 2 Na 2.84
7 Cl 0.2298 0.7702 0.7328  1 U 2.64, 2 Na 2.94
8 Cl 0.4363 0.5637 0.2497  1 U 2.65, 2 Na 2.83
9 Cl 0.4596 0.2298 0.2672  1 U 2.64, 2 Na 2.94
10 Cl 0.5637 0.1274 0.7503  1 U 2.65, 2 Na 2.83
11 Cl 0.2298 0.4596 0.7328  1 U 2.64, 2 Na 2.94
12 Cl 0.8946 0.7892 0.7726  1 U 2.63, 2 Na 2.84
13 Cl 0.2108 0.1054 0.7726  1 U 2.63, 2 Na 2.84
14 Cl 0.1054 0.2108 0.2274  1 U 2.63, 2 Na 2.84
15 Cl 0.1274 0.5637 0.2497  1 U 2.65, 2 Na 2.83
16 Cl 0.5404 0.7702 0.7328  1 U 2.64, 2 Na 2.94
17 Cl 0.8726 0.4363 0.7503  1 U 2.65, 2 Na 2.83
18 Cl 0.5637 0.4363 0.7503  1 U 2.65, 2 Na 2.83
19 U 0.6667 0.3333 0.5052  6 Cl 2.64-2.65
20 U 0.3333 0.6667 0.4948  6 Cl 2.64-2.65
21 U 0.0000 0.0000 0.0000  6 Cl 2.63
22 Na 0.6604 0.0000 0.0000  6 Cl 2.83-2.94
23 Na 0.6604 0.6604 0.0000  6 Cl 2.83-2.94
24 Na 0.3396 0.3396 0.0000  6 Cl 2.83-2.94
25 Na 0.0000 0.3396 0.0000  6 Cl 2.83-2.94
26 Na 0.3396 0.0000 0.0000  6 Cl 2.83-2.94
27 Na 0.0000 0.6604 0.0000  6 Cl 2.83-2.94

Summary:
* crystal system: trigonal
* V: 29.50 A^3/atom
* E (MP2020): -133.6 eV for the cell shown

Question: The highest V belongs to which entry?
Answer: Na3TbCl6

Question: What is the E (MP2020) in the third record?
Answer: -57.1 eV for the cell shown

Question: Which value of E (MP2020) does entry 3 give?
Answer: -57.1 eV for the cell shown

Question: Which formula does entry 1 have?
Answer: NaTaCl6